DFT (GGA-PBE) results for a relaxed ZrCl3 crystal.

Calculated values
The calculation puts the total energy at -41.70 eV/cell. The calculation puts the energy relative to the elements at -2.150 eV per atom. The crystal system is monoclinic. Its space group is C2/m. The theoretical density comes out at 2.75 g/cm3.

a = 6.3264 Å, b = 6.3264 Å, c = 7.0189 Å
α = 90.06°, β = 90.06°, γ = 121.73°
Atoms (fractional coordinates):
Cl (0.3394, 0.9980, 0.2274)
Cl (0.3378, 0.3378, 0.8080)
Zr (0.3196, 0.6804, 0.0000)
Cl (0.9980, 0.3394, 0.2274)
Zr (0.6804, 0.3196, 0.0000)
Cl (0.6606, 0.0020, 0.7726)
Cl (0.0020, 0.6606, 0.7726)
Cl (0.6622, 0.6622, 0.1920)

DFT (GGA-PBE) results for a relaxed ZrCl3 crystal.

Calculated values
The calculation puts the total energy at -125.91 eV/cell. The calculation puts the energy relative to the elements at -2.183 eV per atom. The crystal system is monoclinic. Its space group is C2/m. The theoretical density comes out at 1.88 g/cm3.

a = 13.5204 Å, b = 13.5204 Å, c = 6.9086 Å
α = 75.69°, β = 75.69°, γ = 59.75°
Atoms (fractional coordinates):
Cl (0.4790, 0.9783, 0.7477)
Zr (0.0859, 0.0859, 0.5000)
Cl (0.7265, 0.7265, 0.7478)
Cl (0.0116, 0.2745, 0.2570)
Cl (0.0206, 0.0206, 0.2541)
Zr (0.9141, 0.9141, 0.5000)
Cl (0.0282, 0.7666, 0.2558)
Cl (0.5210, 0.0217, 0.2523)
Cl (0.0217, 0.5210, 0.2523)
Cl (0.7255, 0.9884, 0.7430)
Zr (0.0856, 0.3289, 0.4990)
Cl (0.2745, 0.0116, 0.2570)
Cl (0.9884, 0.7255, 0.7430)
Zr (0.9144, 0.6711, 0.5010)
Cl (0.9783, 0.4790, 0.7477)
Cl (0.2334, 0.9718, 0.7442)
Zr (0.6711, 0.9144, 0.5010)
Cl (0.9794, 0.9794, 0.7459)
Cl (0.7664, 0.7664, 0.2584)
Zr (0.3289, 0.0856, 0.4990)
Cl (0.2336, 0.2336, 0.7416)
Cl (0.9718, 0.2334, 0.7442)
Cl (0.7666, 0.0282, 0.2558)
Cl (0.2735, 0.2735, 0.2522)

DFT (GGA-PBE) results for a relaxed ZrCl3 crystal.

Calculated values
The calculation puts the total energy at -41.57 eV/cell. The calculation puts the energy relative to the elements at -2.133 eV per atom. The crystal system is trigonal. Its space group is P-31m. The theoretical density comes out at 2.92 g/cm3.

a = 6.2595 Å, b = 6.2595 Å, c = 6.6182 Å
α = 90.00°, β = 90.00°, γ = 120.00°
Atoms (fractional coordinates):
Cl (0.6625, 0.6625, 0.2284)
Cl (0.0000, 0.3375, 0.2284)
Cl (0.3375, 0.0000, 0.2284)
Zr (0.6667, 0.3333, 0.0000)
Cl (0.6625, 0.0000, 0.7716)
Cl (0.0000, 0.6625, 0.7716)
Cl (0.3375, 0.3375, 0.7716)
Zr (0.3333, 0.6667, 0.0000)

DFT (GGA-PBE) results for a relaxed ZrCl3 crystal.

Calculated values
The calculation puts the total energy at -41.56 eV/cell. The calculation puts the energy relative to the elements at -2.133 eV per atom. The crystal system is trigonal. Its space group is R-3. The theoretical density comes out at 2.95 g/cm3.

a = 7.4707 Å, b = 7.4707 Å, c = 7.4707 Å
α = 49.57°, β = 49.57°, γ = 49.57°
Atoms (fractional coordinates):
Zr (0.6667, 0.6667, 0.6667)
Cl (0.2615, 0.9227, 0.5832)
Cl (0.0773, 0.4168, 0.7385)
Cl (0.4168, 0.7385, 0.0773)
Cl (0.9227, 0.5832, 0.2615)
Cl (0.7385, 0.0773, 0.4168)
Cl (0.5832, 0.2615, 0.9227)
Zr (0.3333, 0.3333, 0.3333)

DFT (GGA-PBE) results for a relaxed Zr3Cl crystal.

Calculated values
The calculation puts the total energy at -53.32 eV/cell. The calculation puts the energy relative to the elements at 0.055 eV per atom. The crystal system is hexagonal. Its space group is P6_3/mmc. The theoretical density comes out at 5.90 g/cm3.

a = 6.1073 Å, b = 6.1073 Å, c = 5.3892 Å
α = 90.00°, β = 90.00°, γ = 120.00°
Atoms (fractional coordinates):
Cl (0.6667, 0.3333, 0.2500)
Zr (0.8378, 0.6756, 0.7500)
Zr (0.8378, 0.1622, 0.7500)
Cl (0.3333, 0.6667, 0.7500)
Zr (0.1622, 0.3244, 0.2500)
Zr (0.6756, 0.8378, 0.2500)
Zr (0.3244, 0.1622, 0.7500)
Zr (0.1622, 0.8378, 0.2500)

DFT (GGA-PBE) results for a relaxed Co crystal.

Calculated values
The calculation puts the total energy at -28.39 eV/cell. The value obtained for the energy above the most stable polymorph in this dataset is 0.0101 eV per atom. The calculation puts the energy relative to the elements at 0.010 eV per atom. The theoretical density comes out at 8.99 g/cm3.

a = 2.4870 Å, b = 8.1266 Å, c = 2.4870 Å
α = 90.00°, β = 119.98°, γ = 90.00°
Atoms (fractional coordinates):
Co (0.3333, 0.3700, 0.6667)
Co (0.3333, 0.8702, 0.6667)
Co (0.6667, 0.1298, 0.3333)
Co (0.6667, 0.6300, 0.3333)

DFT (GGA-PBE) results for a relaxed Co crystal.

Calculated values
The calculation puts the total energy at -7.09 eV/cell. The value obtained for the energy above the most stable polymorph in this dataset is 0.0161 eV per atom. The calculation puts the energy relative to the elements at 0.016 eV per atom. The crystal system is cubic. Its space group is Fm-3m. The theoretical density comes out at 8.97 g/cm3.

a = 2.4898 Å, b = 2.4898 Å, c = 2.4898 Å
α = 60.00°, β = 60.00°, γ = 60.00°
Atoms (fractional coordinates):
Co (0.0000, 0.0000, 0.0000)

DFT (GGA-PBE) results for a relaxed Co crystal.

Calculated values
The calculation puts the total energy at -321.57 eV/cell. The value obtained for the energy above the most stable polymorph in this dataset is 0.1177 eV per atom. The calculation puts the energy relative to the elements at 0.118 eV per atom. The crystal system is hexagonal. Its space group is P6_3mc. The theoretical density comes out at 8.69 g/cm3.

a = 7.8600 Å, b = 7.8600 Å, c = 9.6864 Å
α = 90.00°, β = 90.00°, γ = 120.00°
Atoms (fractional coordinates):
Co (0.0292, 0.5146, 0.8468)
Co (0.8114, 0.6228, 0.7277)
Co (0.3333, 0.6667, 0.9897)
Co (0.5009, 0.4991, 0.5966)
Co (0.4991, 0.9982, 0.0966)
Co (0.8368, 0.1632, 0.4779)
Co (0.0000, 0.0000, 0.1043)
Co (0.0018, 0.5009, 0.0966)
Co (0.3333, 0.6667, 0.6788)
Co (0.3265, 0.1632, 0.4779)
Co (0.0000, 0.0000, 0.8518)
Co (0.0000, 0.0000, 0.6043)
Co (0.8245, 0.1755, 0.9782)
Co (0.6228, 0.8114, 0.2277)
Co (0.6752, 0.8376, 0.7262)
Co (0.6667, 0.3333, 0.4897)
Co (0.8376, 0.6752, 0.2262)
Co (0.8245, 0.6490, 0.9782)
Co (0.1624, 0.3248, 0.7262)
Co (0.6667, 0.3333, 0.1788)
Co (0.1632, 0.3265, 0.9779)
Co (0.1755, 0.8245, 0.4782)
Co (0.4854, 0.9708, 0.8468)
Co (0.1624, 0.8376, 0.7262)
Co (0.6667, 0.3333, 0.8841)
Co (0.8376, 0.1624, 0.2262)
Co (0.3333, 0.6667, 0.3841)
Co (0.9708, 0.4854, 0.3468)
Co (0.8114, 0.1886, 0.7277)
Co (0.9982, 0.4991, 0.5966)
Co (0.3248, 0.1624, 0.2262)
Co (0.8368, 0.6735, 0.4779)
Co (0.3510, 0.1755, 0.9782)
Co (0.3772, 0.1886, 0.7277)
Co (0.5146, 0.0292, 0.3468)
Co (0.1632, 0.8368, 0.9779)
Co (0.1886, 0.3772, 0.2277)
Co (0.4991, 0.5009, 0.0966)
Co (0.5009, 0.0018, 0.5966)
Co (0.6490, 0.8245, 0.4782)
Co (0.5146, 0.4854, 0.3468)
Co (0.6735, 0.8368, 0.9779)
Co (0.0000, 0.0000, 0.3518)
Co (0.4854, 0.5146, 0.8468)
Co (0.1755, 0.3510, 0.4782)
Co (0.1886, 0.8114, 0.2277)

Question: What is the formula in the second record?
Answer: ZrCl3

Question: Number 5 is which compound?
Answer: Zr3Cl

Question: Look up the theoretical density of the first one.
Answer: 2.75 g/cm3